Crystalline Er3Pb at its relaxed geometry. Source: the Materials Project database, functional r2SCAN.

```
Er3Pb
1.0
-2.302 2.302 5.280
2.302 -2.302 5.280
2.302 2.302 -5.280
Er Pb
3 1
direct
0.000 0.000 0.000 Er
0.250 0.750 0.500 Er
0.750 0.250 0.500 Er
0.500 0.500 0.000 Pb
```

Summary:
The value obtained for the magnetization is 0.0 μB/f.u. The formation enthalpy at 0 K is -325 meV/atom. As for the space group: I4/mmm.

=====

Crystalline Cs3Cr2I9 at its relaxed geometry. Source: the Materials Project database, functional r2SCAN.

```
Cs3Cr2I9
1.0
8.182 0.000 0.000
-4.091 7.086 0.000
0.000 0.000 20.629
Cs Cr I
6 4 18
direct
0.000 0.000 0.250 Cs
0.000 0.000 0.750 Cs
0.333 0.667 0.069 Cs
0.333 0.667 0.431 Cs
0.667 0.333 0.569 Cs
0.667 0.333 0.931 Cs
0.333 0.667 0.663 Cr
0.333 0.667 0.837 Cr
0.667 0.333 0.163 Cr
0.667 0.333 0.337 Cr
0.026 0.513 0.750 I
0.174 0.348 0.592 I
0.174 0.348 0.908 I
0.174 0.826 0.592 I
0.174 0.826 0.908 I
0.348 0.174 0.092 I
0.348 0.174 0.408 I
0.487 0.513 0.750 I
0.487 0.974 0.750 I
0.513 0.026 0.250 I
0.513 0.487 0.250 I
0.652 0.826 0.592 I
0.652 0.826 0.908 I
0.826 0.174 0.092 I
0.826 0.174 0.408 I
0.826 0.652 0.092 I
0.826 0.652 0.408 I
0.974 0.487 0.250 I
```

Summary:
The value obtained for the magnetization is 6.0 μB/f.u. The value obtained for the energy above the lowest structure with this stoichiometry is 0.000 eV per atom. The formation enthalpy at 0 K is -1160 meV/atom. As for the space group: P6_3/mmc.

=====

Crystalline In at its relaxed geometry. Source: the Materials Project database, functional r2SCAN.

```
In
1.0
3.364 0.000 0.000
-1.682 2.913 0.000
0.000 0.000 10.800
In
4
direct
0.000 0.000 0.000 In
0.000 0.000 0.500 In
0.333 0.667 0.250 In
0.667 0.333 0.750 In
```

Summary:
The value obtained for the magnetization is 0.0 μB/f.u. The value obtained for the energy above the lowest structure with this stoichiometry is 0.005 eV per atom. The formation enthalpy at 0 K is 5 meV/atom. As for the space group: P6_3/mmc.

=====

Crystalline Hg3Te2I2 at its relaxed geometry. Source: the Materials Project database, functional r2SCAN.

```
Hg3Te2I2
1.0
7.240 -5.029 0.000
7.240 5.029 0.000
-2.276 0.000 14.386
Hg Te I
12 8 8
direct
0.000 0.500 0.500 Hg
0.177 0.823 0.750 Hg
0.199 0.750 0.018 Hg
0.250 0.801 0.482 Hg
0.374 0.388 0.331 Hg
0.388 0.374 0.831 Hg
0.500 0.000 0.000 Hg
0.612 0.626 0.169 Hg
0.626 0.612 0.669 Hg
0.750 0.199 0.518 Hg
0.801 0.250 0.982 Hg
0.823 0.177 0.250 Hg
0.087 0.629 0.365 Te
0.101 0.621 0.850 Te
0.371 0.913 0.135 Te
0.379 0.899 0.650 Te
0.621 0.101 0.350 Te
0.629 0.087 0.865 Te
0.899 0.379 0.150 Te
0.913 0.371 0.635 Te
0.111 0.140 0.883 I
0.140 0.111 0.383 I
0.370 0.410 0.116 I
0.410 0.370 0.616 I
0.590 0.630 0.384 I
0.630 0.590 0.884 I
0.860 0.889 0.617 I
0.889 0.860 0.117 I
```

Summary:
The value obtained for the magnetization is 0.0 μB/f.u. The formation enthalpy at 0 K is -304 meV/atom. As for the space group: C2/c.

=====

Crystalline SiO2 at its relaxed geometry. Source: the Materials Project database, functional r2SCAN.

```
SiO2
1.0
0.000 8.836 8.966
6.773 0.000 8.966
6.773 8.836 0.000
Si O
18 36
direct
0.070 0.546 0.682 Si
0.071 0.294 0.929 Si
0.213 0.610 0.787 Si
0.250 0.250 0.250 Si
0.294 0.071 0.706 Si
0.298 0.318 0.454 Si
0.318 0.298 0.930 Si
0.390 0.787 0.610 Si
0.454 0.930 0.298 Si
0.546 0.070 0.702 Si
0.610 0.213 0.390 Si
0.682 0.702 0.070 Si
0.702 0.682 0.546 Si
0.706 0.929 0.294 Si
0.750 0.750 0.750 Si
0.787 0.390 0.213 Si
0.929 0.706 0.071 Si
0.930 0.454 0.318 Si
0.029 0.437 0.822 O
0.073 0.700 0.927 O
0.077 0.316 0.320 O
0.151 0.151 0.849 O
0.161 0.599 0.690 O
0.166 0.464 0.536 O
0.178 0.288 0.971 O
0.287 0.320 0.316 O
0.288 0.178 0.563 O
0.300 0.927 0.700 O
0.308 0.692 0.692 O
0.310 0.449 0.839 O
0.316 0.077 0.287 O
0.320 0.287 0.077 O
0.401 0.839 0.449 O
0.437 0.029 0.712 O
0.449 0.310 0.401 O
0.464 0.166 0.834 O
0.536 0.834 0.166 O
0.551 0.690 0.599 O
0.563 0.971 0.288 O
0.599 0.161 0.551 O
0.680 0.713 0.923 O
0.684 0.923 0.713 O
0.690 0.551 0.161 O
0.692 0.308 0.308 O
0.700 0.073 0.300 O
0.712 0.822 0.437 O
0.713 0.680 0.684 O
0.822 0.712 0.029 O
0.834 0.536 0.464 O
0.839 0.401 0.310 O
0.849 0.849 0.151 O
0.923 0.684 0.680 O
0.927 0.300 0.073 O
0.971 0.563 0.178 O
```

Summary:
The value obtained for the magnetization is 0.0 μB/f.u. The formation enthalpy at 0 K is -3017 meV/atom. As for the space group: Fmmm.

=====

Crystalline La2Sn3 at its relaxed geometry. Source: the Materials Project database, functional r2SCAN.

```
La2Sn3
1.0
6.571 0.000 0.000
-1.504 8.610 0.000
-1.355 -3.711 10.678
La Sn
8 12
direct
0.042 0.246 0.448 La
0.130 0.249 0.879 La
0.327 0.536 0.245 La
0.442 0.070 0.165 La
0.558 0.930 0.835 La
0.673 0.464 0.755 La
0.870 0.751 0.121 La
0.958 0.754 0.552 La
0.052 0.849 0.880 Sn
0.182 0.544 0.724 Sn
0.225 0.907 0.366 Sn
0.332 0.099 0.634 Sn
0.349 0.665 0.995 Sn
0.437 0.662 0.553 Sn
0.563 0.338 0.447 Sn
0.651 0.335 0.005 Sn
0.668 0.901 0.366 Sn
0.775 0.093 0.634 Sn
0.818 0.456 0.276 Sn
0.948 0.151 0.120 Sn
```

Summary:
The value obtained for the magnetization is 0.0 μB/f.u. The formation enthalpy at 0 K is -844 meV/atom. As for the space group: P-1.

=====

Crystalline SnHgF6 at its relaxed geometry. Source: the Materials Project database, functional r2SCAN.

```
SnHgF6
1.0
2.615 1.510 5.099
-2.615 1.510 5.099
0.000 -3.019 5.099
Sn Hg F
1 1 6
direct
0.000 0.000 0.000 Sn
0.500 0.500 0.500 Hg
0.069 0.387 0.772 F
0.228 0.931 0.613 F
0.387 0.772 0.069 F
0.613 0.228 0.931 F
0.772 0.069 0.387 F
0.931 0.613 0.228 F
```

Summary:
The value obtained for the magnetization is 0.0 μB/f.u. The formation enthalpy at 0 K is -2249 meV/atom. As for the space group: R-3.

=====

Crystalline ThSn3 at its relaxed geometry. Source: the Materials Project database, functional r2SCAN.

```
ThSn3
1.0
4.744 0.000 0.000
0.000 4.744 0.000
0.000 0.000 4.744
Th Sn
1 3
direct
0.000 0.000 0.000 Th
0.000 0.500 0.500 Sn
0.500 0.000 0.500 Sn
0.500 0.500 0.000 Sn
```

Summary:
The value obtained for the magnetization is 0.0 μB/f.u. The formation enthalpy at 0 K is -422 meV/atom. As for the space group: Pm-3m.